Material: BiC3O6
Method: DFT, GGA-PBE
State: relaxed

## Properties
- E_form (eV per formula unit) = -10.72
- total magnetic moment (μB/f.u.) = 3.0
- energy (eV per cell) = -203.58
- space-group type = No. 156

Unit cell a=10.901 b=10.901 c=4.273 alpha=90.00 beta=90.00 gamma=120.00
Positions (direct):
Bi (0.667, 0.333, 0.876)
Bi (0.000, 0.000, 0.233)
Bi (0.333, 0.667, 0.529)
C (0.516, 0.033, 0.433)
C (0.516, 0.484, 0.433)
C (0.967, 0.484, 0.433)
C (0.850, 0.700, 0.784)
C (0.850, 0.150, 0.784)
C (0.300, 0.150, 0.784)
C (0.182, 0.363, 0.113)
C (0.182, 0.818, 0.113)
C (0.637, 0.818, 0.113)
O (0.468, 0.936, 0.627)
O (0.468, 0.532, 0.627)
O (0.064, 0.532, 0.627)
O (0.801, 0.603, 0.975)
O (0.801, 0.199, 0.975)
O (0.397, 0.199, 0.975)
O (0.136, 0.271, 0.319)
O (0.136, 0.864, 0.319)
O (0.729, 0.864, 0.319)
O (0.583, 0.165, 0.448)
O (0.583, 0.417, 0.448)
O (0.835, 0.417, 0.448)
O (0.916, 0.833, 0.802)
O (0.916, 0.084, 0.802)
O (0.167, 0.084, 0.802)
O (0.248, 0.496, 0.111)
O (0.248, 0.752, 0.111)
O (0.504, 0.752, 0.111)


Material: LiHCO2
Method: DFT, GGA-PBE
State: relaxed

## Properties
- E_form (eV per formula unit) = -8.14
- total magnetic moment (μB/f.u.) = 0.0
- energy (eV per cell) = -499.15
- space-group type = No. 15

Unit cell a=8.638 b=8.638 c=13.775 alpha=82.43 beta=82.43 gamma=90.01
Positions (direct):
Li (0.832, 0.175, 0.991)
Li (0.825, 0.168, 0.509)
Li (0.168, 0.825, 0.009)
Li (0.175, 0.832, 0.491)
Li (0.059, 0.103, 0.840)
Li (0.897, 0.941, 0.660)
Li (0.941, 0.897, 0.160)
Li (0.103, 0.059, 0.340)
Li (0.392, 0.269, 0.245)
Li (0.731, 0.608, 0.255)
Li (0.608, 0.731, 0.755)
Li (0.269, 0.392, 0.745)
Li (0.608, 0.415, 0.088)
Li (0.585, 0.392, 0.412)
Li (0.392, 0.585, 0.912)
Li (0.415, 0.608, 0.588)
H (0.644, 0.907, 0.917)
H (0.093, 0.356, 0.583)
H (0.356, 0.093, 0.083)
H (0.907, 0.644, 0.417)
H (0.126, 0.395, 0.025)
H (0.605, 0.874, 0.475)
H (0.874, 0.605, 0.975)
H (0.395, 0.126, 0.525)
H (0.771, 0.383, 0.815)
H (0.617, 0.229, 0.685)
H (0.229, 0.617, 0.185)
H (0.383, 0.771, 0.315)
H (0.661, 0.022, 0.260)
H (0.978, 0.339, 0.240)
H (0.339, 0.978, 0.740)
H (0.022, 0.661, 0.760)
C (0.751, 0.940, 0.863)
C (0.060, 0.249, 0.637)
C (0.249, 0.060, 0.137)
C (0.940, 0.751, 0.363)
C (0.143, 0.352, 0.951)
C (0.648, 0.857, 0.549)
C (0.857, 0.648, 0.049)
C (0.352, 0.143, 0.451)
C (0.688, 0.423, 0.875)
C (0.577, 0.312, 0.625)
C (0.312, 0.577, 0.125)
C (0.423, 0.688, 0.375)
C (0.685, 0.102, 0.190)
C (0.898, 0.315, 0.310)
C (0.315, 0.898, 0.810)
C (0.102, 0.685, 0.690)
O (0.843, 0.040, 0.885)
O (0.960, 0.157, 0.615)
O (0.157, 0.960, 0.115)
O (0.040, 0.843, 0.385)
O (0.769, 0.874, 0.786)
O (0.126, 0.231, 0.714)
O (0.231, 0.126, 0.214)
O (0.874, 0.769, 0.286)
O (0.047, 0.249, 0.938)
O (0.751, 0.953, 0.562)
O (0.953, 0.751, 0.062)
O (0.249, 0.047, 0.438)
O (0.255, 0.411, 0.889)
O (0.589, 0.745, 0.611)
O (0.745, 0.589, 0.111)
O (0.411, 0.255, 0.389)
O (0.604, 0.539, 0.852)
O (0.461, 0.396, 0.648)
O (0.396, 0.461, 0.148)
O (0.539, 0.604, 0.352)
O (0.686, 0.349, 0.961)
O (0.651, 0.314, 0.539)
O (0.314, 0.651, 0.039)
O (0.349, 0.686, 0.461)
O (0.596, 0.217, 0.177)
O (0.783, 0.404, 0.323)
O (0.404, 0.783, 0.823)
O (0.217, 0.596, 0.677)
O (0.799, 0.069, 0.128)
O (0.931, 0.201, 0.372)
O (0.201, 0.931, 0.872)
O (0.069, 0.799, 0.628)


Material: CuSi2N3
Method: DFT, GGA-PBE
State: relaxed

## Properties
- E_form (eV per formula unit) = -5.32
- total magnetic moment (μB/f.u.) = 0.0
- energy (eV per cell) = -88.39
- space-group type = No. 36

Unit cell a=5.354 b=5.339 c=4.908 alpha=90.00 beta=90.00 gamma=119.91
Positions (direct):
Cu (0.000, 0.630, 0.510)
Cu (0.000, 0.370, 0.010)
Si (0.336, 0.327, 0.490)
Si (0.664, 0.991, 0.490)
Si (0.664, 0.673, 0.990)
Si (0.336, 0.009, 0.990)
N (0.398, 0.340, 0.846)
N (0.602, 0.941, 0.846)
N (0.602, 0.660, 0.346)
N (0.398, 0.059, 0.346)
N (0.000, 0.738, 0.906)
N (0.000, 0.262, 0.406)


Material: Zr5Sb3
Method: DFT, GGA-PBE
State: relaxed

## Properties
- E_form (eV per formula unit) = -5.91
- energy (eV per cell) = -120.92
- space-group type = No. 193

Unit cell a=8.519 b=8.519 c=5.799 alpha=90.00 beta=90.00 gamma=120.00
Positions (direct):
Zr (0.747, 0.747, 0.750)
Zr (0.253, 0.000, 0.750)
Zr (0.000, 0.253, 0.750)
Zr (0.253, 0.253, 0.250)
Zr (0.747, 0.000, 0.250)
Zr (0.000, 0.747, 0.250)
Zr (0.667, 0.333, 0.000)
Zr (0.333, 0.667, 0.000)
Zr (0.333, 0.667, 0.500)
Zr (0.667, 0.333, 0.500)
Sb (0.388, 0.388, 0.750)
Sb (0.612, 0.000, 0.750)
Sb (0.000, 0.612, 0.750)
Sb (0.612, 0.612, 0.250)
Sb (0.388, 0.000, 0.250)
Sb (0.000, 0.388, 0.250)